Entry 1:
A relaxed Ti3Cu2NiP6O24 crystal, computed with GGA+U.

Computed properties:
calculated density: 3326 kg/m3
energy of formation from the pure elements: -2.605 eV per atom
total moment: 4.00 μB per formula unit
E (MP2020): -7.85 eV/atom

Cell: 8.6221 8.6221 20.9166 Å, 90.00 90.00 120.00°
Last column: nearest neighbours and their distance in Å.
Space group R3 (No. 146, hexagonal axes)
Symmetry-distinct sites (fractional):
Ti 0.0000 0.0000 0.0000  6 O 1.89-2.00
Ti 0.0000 0.0000 0.2131  6 O 1.90-2.03
Ti 0.0000 0.0000 0.7117  6 O 1.89-2.05
Cu 0.0000 0.0000 0.3591  6 O 2.16-2.25
Cu 0.0000 0.0000 0.8570  6 O 2.24-2.25
Ni 0.0000 0.0000 0.4987  6 O 1.97-2.07
P 0.0012 0.7064 0.1060  4 O 1.53-1.56
P 0.0418 0.3744 0.2715  4 O 1.49-1.57
O 0.0035 0.2011 0.5445  1 P 1.49
O 0.0215 0.1839 0.2787  1 P 1.57
O 0.0237 0.8380 0.7779  1 P 1.56
O 0.1454 0.4771 0.3327  1 P 1.56
O 0.1449 0.6674 0.8327  1 P 1.55
O 0.1484 0.6723 0.7132  1 P 1.55
O 0.1666 0.4847 0.6037  1 P 1.57
O 0.1685 0.6894 0.0986  1 P 1.53

Entry 2:
A relaxed V3Cu2NiP6O24 crystal, computed with GGA+U.

Computed properties:
calculated density: 3361 kg/m3
energy of formation from the pure elements: -2.334 eV per atom
total moment: 3.46 μB per formula unit
E (MP2020): -7.68 eV/atom

Cell: 8.6113 8.6113 20.9684 Å, 90.00 90.00 120.00°
Last column: nearest neighbours and their distance in Å.
Space group R3 (No. 146, hexagonal axes)
Symmetry-distinct sites (fractional):
V 0.0000 0.0000 0.0000  6 O 1.85-1.94
V 0.0000 0.0000 0.2158  6 O 1.92-2.00
V 0.0000 0.0000 0.7138  6 O 1.90-2.01
Cu 0.0000 0.0000 0.3601  6 O 2.17-2.27
Cu 0.0000 0.0000 0.8570  6 O 2.26-2.31
Ni 0.0000 0.0000 0.4989  6 O 1.99-2.09
P 0.0008 0.7095 0.1071  4 O 1.52-1.57
P 0.0431 0.3756 0.2732  4 O 1.49-1.59
O 0.0110 0.2063 0.5457  1 P 1.49
O 0.0187 0.1824 0.2787  1 P 1.57
O 0.0275 0.8397 0.7768  1 P 1.56
O 0.1446 0.4727 0.3351  1 P 1.55
O 0.1451 0.6705 0.8347  1 P 1.55
O 0.1558 0.6737 0.7143  1 P 1.57
O 0.1670 0.4872 0.6077  1 P 1.59
O 0.1687 0.6948 0.0988  1 P 1.52